(1)
Entry from the Materials Project database: a relaxed WI4 crystal (PBE).

Cell: 14.8349 16.0773 22.9441 Å, 90.00 90.00 90.00°
Closest atoms and distances in Å follow each position.
Sites, in units of the cell vectors:
I1 0.4381 0.6245 0.6434  1 I 2.82
I2 0.2514 0.6388 0.3038  2 W 2.79
I3 0.7506 0.6273 0.8512  2 W 2.79
I4 0.3757 0.0794 0.5512  2 W 2.78-2.80
I5 0.1250 0.8158 0.9952  2 W 2.78-2.79
I6 0.6181 0.6642 0.1678  1 I 2.75
I7 0.3818 0.3926 0.3192  1 I 2.82
I8 0.3757 0.5794 0.4488  2 W 2.78-2.80
I9 0.8819 0.1642 0.3322  1 I 2.75
I10 0.7486 0.8612 0.3038  2 W 2.79
I11 0.5000 0.7500 0.8239  2 W 2.91
I12 0.1250 0.3158 0.0048  2 W 2.78-2.79
I13 0.6250 0.6842 0.4952  2 W 2.78-2.79
I14 0.2514 0.1388 0.6962  2 W 2.79
I15 0.6143 0.6819 0.9903  2 W 2.78-2.79
I16 0.3819 0.3358 0.8322  1 I 2.75
I17 0.2506 0.8727 0.3512  2 W 2.79
I18 0.7494 0.1273 0.6488  2 W 2.79
I19 0.7356 0.3469 0.8947  1 W 2.89, 1 I 3.16
I20 0.3857 0.3181 0.0097  2 W 2.78-2.79
I21 0.8750 0.6842 0.9952  2 W 2.78-2.79
I22 0.0000 0.2500 0.1681  2 W 2.91
I23 0.4381 0.1245 0.3566  1 I 2.82
I24 0.1182 0.8926 0.1808  1 I 2.82
I25 0.1243 0.5794 0.9488  2 W 2.78-2.80
I26 0.2494 0.3727 0.1488  2 W 2.79
I27 0.0619 0.1245 0.8566  1 I 2.82
I28 0.1163 0.0782 0.5572  2 W 2.80
I29 0.7486 0.3612 0.6962  2 W 2.79
I30 0.9921 0.5408 0.7108  1 I 2.75
I31 0.8857 0.1819 0.5097  2 W 2.78-2.79
I32 0.8819 0.6642 0.6678  1 I 2.75
I33 0.3750 0.8158 0.4952  2 W 2.78-2.79
I34 0.2644 0.1531 0.8947  1 W 2.89, 1 I 3.16
I35 0.7506 0.1273 0.1488  2 W 2.79
I36 0.3818 0.8926 0.6808  1 I 2.82
I37 0.0000 0.2500 0.6761  2 W 2.91
I38 0.8818 0.6074 0.1808  1 I 2.82
I39 0.6243 0.4206 0.5512  2 W 2.78-2.80
I40 0.8750 0.1842 0.0048  2 W 2.78-2.79
I41 0.2644 0.6531 0.1053  1 W 2.89, 1 I 3.16
I42 0.3819 0.8358 0.1678  1 I 2.75
I43 0.7644 0.3469 0.3947  1 W 2.89, 1 I 3.16
I44 0.9921 0.0408 0.2892  1 I 2.75
I45 0.3857 0.8181 0.9903  2 W 2.78-2.79
I46 0.6243 0.9206 0.4488  2 W 2.78-2.80
I47 0.1181 0.3358 0.3322  1 I 2.75
I48 0.1163 0.5782 0.4428  2 W 2.80
I49 0.3837 0.5782 0.9428  2 W 2.80
I50 0.9381 0.3755 0.8566  1 I 2.82
I51 0.3750 0.3158 0.5048  2 W 2.78-2.79
I52 0.5000 0.2500 0.6681  2 W 2.91
I53 0.6163 0.4218 0.0572  2 W 2.80
I54 0.0619 0.6245 0.1434  1 I 2.82
I55 0.8837 0.4218 0.5572  2 W 2.80
I56 0.5079 0.5408 0.2108  1 I 2.75
I57 0.1143 0.3181 0.5097  2 W 2.78-2.79
I58 0.9381 0.8755 0.1434  1 I 2.82
I59 0.5619 0.8755 0.6434  1 I 2.82
I60 0.7494 0.6273 0.3512  2 W 2.79
I61 0.4921 0.4592 0.7892  1 I 2.75
I62 0.2486 0.6388 0.8038  2 W 2.79
I63 0.0079 0.9592 0.7108  1 I 2.75
I64 0.2506 0.3727 0.6488  2 W 2.79
I65 0.0079 0.4592 0.2892  1 I 2.75
I66 0.6250 0.1842 0.5048  2 W 2.78-2.79
I67 0.5000 0.7500 0.3319  2 W 2.91
I68 0.2494 0.8727 0.8512  2 W 2.79
I69 0.6143 0.1819 0.0097  2 W 2.78-2.79
I70 0.8837 0.9218 0.4428  2 W 2.80
I71 0.8857 0.6819 0.4903  2 W 2.78-2.79
I72 0.2356 0.1531 0.3947  1 W 2.89, 1 I 3.16
I73 0.2356 0.6531 0.6053  1 W 2.89, 1 I 3.16
I74 0.5000 0.2500 0.1761  2 W 2.91
I75 0.4921 0.9592 0.2108  1 I 2.75
I76 0.1181 0.8358 0.6678  1 I 2.75
I77 0.8757 0.4206 0.0512  2 W 2.78-2.80
I78 0.0000 0.7500 0.3239  2 W 2.91
I79 0.3837 0.0782 0.0572  2 W 2.80
I80 0.6182 0.1074 0.3192  1 I 2.82
I81 0.6163 0.9218 0.9428  2 W 2.80
I82 0.1243 0.0794 0.0512  2 W 2.78-2.80
I83 0.7514 0.3612 0.1962  2 W 2.79
I84 0.5079 0.0408 0.7892  1 I 2.75
I85 0.8757 0.9206 0.9488  2 W 2.78-2.80
I86 0.0000 0.7500 0.8319  2 W 2.91
I87 0.1143 0.8181 0.4903  2 W 2.78-2.79
I88 0.2486 0.1388 0.1962  2 W 2.79
I89 0.1182 0.3926 0.8192  1 I 2.82
I90 0.7514 0.8612 0.8038  2 W 2.79
I91 0.5619 0.3755 0.3566  1 I 2.82
I92 0.8818 0.1074 0.8192  1 I 2.82
I93 0.6181 0.1642 0.8322  1 I 2.75
I94 0.6182 0.6074 0.6808  1 I 2.82
I95 0.7644 0.8469 0.6053  1 W 2.89, 1 I 3.16
I96 0.7356 0.8469 0.1053  1 W 2.89, 1 I 3.16
W1 0.1691 0.7285 0.8942  2 W 2.47
W2 0.3353 0.7294 0.8912  2 W 2.47
W3 0.7563 0.8061 0.4827  2 W 2.47
W4 0.3309 0.7285 0.3942  2 W 2.47
W5 0.1647 0.7294 0.3912  2 W 2.47
W6 0.3309 0.2285 0.6058  2 W 2.47
W7 0.6691 0.7715 0.3942  2 W 2.47
W8 0.8353 0.7706 0.3912  2 W 2.47
W9 0.8309 0.2715 0.1058  2 W 2.47
W10 0.1691 0.2285 0.1058  2 W 2.47
W11 0.6647 0.7706 0.8912  2 W 2.47
W12 0.2563 0.1939 0.0173  2 W 2.47
W13 0.7437 0.3061 0.0173  2 W 2.47
W14 0.2437 0.6939 0.4827  2 W 2.47
W15 0.2563 0.6939 0.9827  2 W 2.47
W16 0.2437 0.1939 0.5173  2 W 2.47
W17 0.6691 0.2715 0.6058  2 W 2.47
W18 0.1647 0.2294 0.6088  2 W 2.47
W19 0.8309 0.7715 0.8942  2 W 2.47
W20 0.7563 0.3061 0.5173  2 W 2.47
W21 0.8353 0.2706 0.6088  2 W 2.47
W22 0.3353 0.2294 0.1088  2 W 2.47
W23 0.6647 0.2706 0.1088  2 W 2.47
W24 0.7437 0.8061 0.9827  2 W 2.47

Energy of formation from the pure elements: -388.4 meV per atom
Energy with MP2020 corrections: -4.20 eV per atom
Space group: No. 60

---

(2)
Entry from the Materials Project database: a relaxed Li10Zn7P8S32 crystal (PBE).

Cell: 9.2051 11.6218 11.6315 Å, 90.02 90.04 90.03°
Closest atoms and distances in Å follow each position.
Sites, in units of the cell vectors:
S1 0.8687 0.8580 0.1060  1 P 2.06
S2 0.8703 0.1387 0.3953  1 P 2.10
S3 0.3634 0.6112 0.3554  1 P 2.06
S4 0.1346 0.3960 0.8609  1 P 2.06
S5 0.6301 0.8538 0.3884  1 P 2.10
S6 0.6345 0.6482 0.6092  1 P 2.06
S7 0.6355 0.3544 0.3870  1 P 2.06
S8 0.3643 0.1101 0.8521  1 P 2.07
S9 0.3649 0.6115 0.8532  1 P 2.06
S10 0.1345 0.6042 0.6387  1 P 2.07
S11 0.3632 0.3888 0.1459  1 P 2.06
S12 0.3700 0.8889 0.6427  1 P 2.07
S13 0.8650 0.8626 0.6042  1 P 2.05
S14 0.1358 0.8958 0.3615  1 P 2.08
S15 0.6283 0.3549 0.8922  1 P 2.06
S16 0.8636 0.1407 0.8956  1 P 2.01
S17 0.8646 0.6407 0.8998  1 P 2.07
S18 0.8633 0.3613 0.1044  1 P 2.07
S19 0.3666 0.8919 0.1474  1 P 2.08
S20 0.8657 0.6398 0.3950  1 P 2.06
S21 0.6342 0.8538 0.8920  1 P 2.07
S22 0.6351 0.1461 0.6104  1 P 2.05
S23 0.1387 0.1045 0.6378  1 P 2.08
S24 0.6299 0.6429 0.1123  1 P 2.06
S25 0.8666 0.3591 0.6016  1 P 2.06
S26 0.3717 0.1094 0.3576  1 P 2.07
S27 0.3648 0.3886 0.6458  1 P 2.06
S28 0.1360 0.6038 0.1384  1 P 2.06
S29 0.1376 0.8939 0.8567  1 P 2.02
S30 0.6293 0.1470 0.1101  1 P 2.12
S31 0.1334 0.1046 0.1442  1 P 2.02
S32 0.1356 0.3962 0.3621  1 P 2.06
Zn1 0.0074 0.9990 0.5027  4 S 2.33-2.41
Zn2 0.4948 0.2509 0.2506  4 S 2.35-2.38
Zn3 0.4939 0.7479 0.2476  4 S 2.35-2.40
Zn4 0.4989 0.7520 0.7509  4 S 2.35-2.39
Zn5 0.0010 0.5006 0.5000  4 S 2.36-2.38
Zn6 0.4987 0.2496 0.7515  4 S 2.35-2.39
Zn7 0.9989 0.4992 0.0002  4 S 2.37-2.38
Li1 0.9992 0.2477 0.7513  4 S 2.43-2.49
Li2 0.0022 0.7508 0.7517  4 S 2.41-2.50
Li3 0.0060 0.2527 0.2482  4 S 2.41-2.50
Li4 0.4962 0.5004 0.9998  4 S 2.43-2.46
Li5 0.4995 0.4997 0.5004  4 S 2.46-2.48
Li6 0.0034 0.7486 0.2490  4 S 2.43-2.47
Li7 0.4946 0.0004 0.9967  4 S 2.43-2.48
Li8 0.4992 0.0001 0.5031  4 S 2.39-2.48
Li9 0.7516 0.9989 0.2449  4 S 2.54-2.62
Li10 0.0056 0.0000 0.9972  4 S 2.38-2.43
P1 0.7529 0.7508 0.5000  4 S 2.05-2.10
P2 0.2494 0.5001 0.2503  4 S 2.06
P3 0.2498 0.4999 0.7498  4 S 2.06-2.07
P4 0.7475 0.2500 0.4989  4 S 2.05-2.10
P5 0.2496 0.0037 0.2516  4 S 2.02-2.08
P6 0.7526 0.2503 0.9963  4 S 2.01-2.12
P7 0.7469 0.7495 0.0049  4 S 2.06-2.07
P8 0.2504 0.9960 0.7487  4 S 2.02-2.08

Energy of formation from the pure elements: -975.3 meV per atom
Energy with MP2020 corrections: -4.55 eV per atom
Space group: No. 1

---

(3)
Entry from the Materials Project database: a relaxed Ba18Pr9Sn4Sb5O54 crystal (PBE).

Cell: 6.1739 6.1739 45.6116 Å, 89.77 89.77 59.84°
Closest atoms and distances in Å follow each position.
Sites, in units of the cell vectors:
O1 0.9972 0.5253 0.7446  1 Sn 2.08
O2 0.9707 0.4739 0.9220  2 Pr 2.28-2.29
O3 0.1927 0.1927 0.3079  1 Sb 2.04
O4 0.3000 0.8227 0.0314  1 Sn 2.07, 1 Pr 2.31
O5 0.4991 0.4991 0.0923  1 Sb 2.00
O6 0.0388 0.4997 0.0863  1 Sb 2.00
O7 0.8516 0.3317 0.1891  1 Sn 2.05
O8 0.4997 0.0388 0.0863  1 Sb 2.00
O9 0.1941 0.1941 0.6399  1 Sb 2.01
O10 0.1928 0.6561 0.6327  1 Sb 2.01
O11 0.3317 0.8516 0.1891  1 Sn 2.05
O12 0.0115 0.4742 0.5868  1 Sb 2.03
O13 0.6777 0.1419 0.4765  1 Sb 2.03
O14 0.8086 0.8086 0.6896  1 Sn 2.08, 1 Pr 2.32
O15 0.4750 0.0102 0.2547  1 Sb 2.02
O16 0.5259 0.5259 0.7526  1 Sn 2.08, 1 Pr 2.33
O17 0.3443 0.8086 0.3657  1 Sb 2.02
O18 0.1579 0.6435 0.1409  1 Sb 2.09, 1 Sn 2.25
O19 0.4739 0.9707 0.9220  2 Pr 2.28-2.29
O20 0.8260 0.8260 0.0232  1 Sn 2.08, 1 Pr 2.32
O21 0.6435 0.1579 0.1409  1 Sb 2.09, 1 Sn 2.25
O22 0.4732 0.4732 0.5798  1 Sb 2.03
O23 0.9886 0.5248 0.4121  1 Sb 2.03
O24 0.8644 0.3355 0.8547  1 Sn 2.08, 1 Pr 2.32
O25 0.1409 0.1409 0.4698  1 Sb 2.03
O26 0.6655 0.1405 0.8097  1 Sn 2.06
O27 0.1405 0.6655 0.8097  1 Sn 2.06
O28 0.4739 0.4739 0.9085  2 Pr 2.30
O29 0.8656 0.8656 0.8658  1 Sn 2.09, 1 Pr 2.32
O30 0.8533 0.8533 0.1949  1 Sn 2.05
O31 0.6561 0.1928 0.6327  1 Sb 2.01
O32 0.3346 0.8094 0.6974  1 Sn 2.08, 1 Pr 2.32
O33 0.4736 0.4736 0.2479  1 Sb 2.02
O34 0.1419 0.6777 0.4765  1 Sb 2.03
O35 0.1912 0.6555 0.3011  1 Sb 2.03
O36 0.8595 0.8595 0.5296  1 Sb 2.02
O37 0.3218 0.8585 0.5229  1 Sb 2.02
O38 0.4742 0.0115 0.5868  1 Sb 2.03
O39 0.0102 0.4750 0.2547  1 Sb 2.02
O40 0.1398 0.1398 0.8007  1 Sn 2.07
O41 0.5253 0.9972 0.7446  1 Sn 2.08
O42 0.7101 0.1784 0.9724  1 Sn 2.09, 1 Pr 2.31
O43 0.1784 0.7101 0.9724  1 Sn 2.09, 1 Pr 2.31
O44 0.5248 0.9886 0.4121  1 Sb 2.03
O45 0.1773 0.1773 0.9829  1 Sn 2.10, 1 Pr 2.34
O46 0.8086 0.3443 0.3657  1 Sb 2.02
O47 0.3355 0.8644 0.8547  1 Sn 2.08, 1 Pr 2.32
O48 0.8585 0.3218 0.5229  1 Sb 2.02
O49 0.8074 0.8074 0.3590  1 Sb 2.02
O50 0.8094 0.3346 0.6974  1 Sn 2.08, 1 Pr 2.32
O51 0.5261 0.5261 0.4188  1 Sb 2.03
O52 0.1608 0.1608 0.1346  1 Sb 2.10, 1 Sn 2.23
O53 0.8227 0.3000 0.0314  1 Sn 2.07, 1 Pr 2.31
O54 0.6555 0.1912 0.3011  1 Sb 2.03
Pr1 0.0000 0.0000 0.3332  6 O 2.35-2.37
Pr2 0.6665 0.6665 0.5552  6 O 2.34-2.37
Pr3 0.6661 0.6661 0.2218  6 O 2.33-2.38
Pr4 0.6672 0.6672 0.0578  6 O 2.31-2.38
Pr5 0.3341 0.3341 0.7769  6 O 2.33-2.34
Pr6 0.3333 0.3333 0.4444  6 O 2.35-2.36
Pr7 0.3358 0.3358 0.9473  6 O 2.28-2.34
Pr8 0.6684 0.6684 0.8870  6 O 2.29-2.32
Pr9 0.9999 0.9999 0.6652  6 O 2.32-2.37
Ba1 0.0032 0.0032 0.9178  7 O 2.80-3.12
Ba2 0.9998 0.9998 0.0854  9 O 2.84-3.17
Ba3 0.6665 0.6665 0.4725  9 O 2.88-3.21
Ba4 0.6666 0.6666 0.3047  9 O 2.91-3.21
Ba5 0.3331 0.3331 0.3612  9 O 2.87-3.21
Ba6 0.6670 0.6670 0.8039  7 O 2.79-3.10
Ba7 0.0001 0.0001 0.4163  9 O 2.87-3.21
Ba8 0.6685 0.6685 0.1405  10 O 2.85-3.18
Ba9 0.0001 0.0001 0.5831  9 O 2.87-3.22
Ba10 0.0003 0.0003 0.7482  7 O 2.83-3.10
Ba11 0.3336 0.3336 0.6942  9 O 2.90-3.24
Ba12 0.3368 0.3368 0.0302  5 O 2.76-3.01
Ba13 0.6682 0.6682 0.9747  7 O 2.79-3.10
Ba14 0.3350 0.3350 0.8586  5 O 2.72-2.91
Ba15 0.6669 0.6669 0.6385  7 O 2.79-3.09
Ba16 0.3332 0.3332 0.1925  9 O 2.88-3.20
Ba17 0.9984 0.9984 0.2497  11 O 2.95-3.29
Ba18 0.3331 0.3331 0.5274  7 O 2.83-3.09
Sb1 0.3329 0.3329 0.2776  6 O 2.02-2.04
Sb2 0.3346 0.3346 0.1131  6 O 2.00-2.10
Sb3 0.3337 0.3337 0.6101  6 O 2.01-2.03
Sb4 0.6666 0.6666 0.3887  6 O 2.02-2.03
Sb5 0.0000 0.0000 0.4998  6 O 2.02-2.03
Sn1 0.6665 0.6665 0.7209  6 O 2.08
Sn2 0.0020 0.0020 0.1664  6 O 2.05-2.25
Sn3 0.0003 0.0003 0.0028  6 O 2.07-2.10
Sn4 0.9992 0.9992 0.8322  6 O 2.06-2.09

Energy of formation from the pure elements: -2896.2 meV per atom
Energy with MP2020 corrections: -7.13 eV per atom
Space group: No. 8

---

(4)
Entry from the Materials Project database: a relaxed LiAcTl2 crystal (PBE).

Cell: 5.5303 5.5303 5.5303 Å, 60.00 60.00 60.00°
Closest atoms and distances in Å follow each position.
Sites, in units of the cell vectors:
Ac1 0.5000 0.5000 0.5000  8 Tl 3.39
Tl1 0.7500 0.7500 0.7500  4 Ac 3.39, 4 Li 3.39
Tl2 0.2500 0.2500 0.2500  4 Ac 3.39, 4 Li 3.39
Li1 0.0000 0.0000 0.0000  8 Tl 3.39

Energy of formation from the pure elements: -312.0 meV per atom
Space group: No. 225